Entry 1:
BaW6O18 | GGA+U | optimized geometry

Computed properties:
As for the formation energy: -2.291 eV/atom. The value obtained for the total energy is -7.481 eV/atom.

```
data_BaW6O18
_chemical_formula_sum 'Ba1 W6 O18'
_symmetry_space_group_name_H-M 'P 6 m m'
_symmetry_Int_Tables_number 183
_symmetry_space_group_name_Hall 'P 6 -2'
_cell_length_a 7.5218
_cell_length_b 7.5218
_cell_length_c 7.7353
_cell_angle_alpha 90.00
_cell_angle_beta 90.00
_cell_angle_gamma 120.00
loop_
_atom_site_label
_atom_site_type_symbol
_atom_site_fract_x
_atom_site_fract_y
_atom_site_fract_z
Ba1 Ba 0.0000 0.0000 0.0000
W1 W 0.0000 0.5000 0.1835
W2 W 0.0000 0.5000 0.6824
O1 O 0.0000 0.5000 0.4324
O2 O 0.0000 0.5000 0.9329
O3 O 0.2083 0.4166 0.1782
O4 O 0.2112 0.4223 0.6857
```

***

Entry 2:
BaW6O19 | GGA+U | optimized geometry

Computed properties:
As for the formation energy: -1.978 eV/atom. The value obtained for the total energy is -7.294 eV/atom.

```
data_BaW6O19
_chemical_formula_sum 'Ba2 W12 O38'
_symmetry_space_group_name_H-M 'C 1 m 1'
_symmetry_Int_Tables_number 8
_cell_length_a 7.513
_cell_length_b 13.077
_cell_length_c 7.833
_cell_angle_alpha 90.00
_cell_angle_beta 90.05
_cell_angle_gamma 90.00
loop_
_symmetry_equiv_pos_as_xyz
'x,y,z'
'x,-y,z'
'x+1/2,y+1/2,z'
'x+1/2,-y+1/2,z'
loop_
_atom_site_label
_atom_site_type_symbol
_atom_site_fract_x
_atom_site_fract_y
_atom_site_fract_z
Ba1 Ba 0.000 0.000 0.000
W1 W 0.009 0.500 0.160
W2 W 0.009 0.500 0.645
W3 W 0.259 0.250 0.165
W4 W 0.260 0.251 0.661
O1 O 0.006 0.500 0.411
O2 O 0.009 0.209 0.155
O3 O 0.010 0.210 0.664
O4 O 0.114 0.500 0.902
O5 O 0.190 0.392 0.647
O6 O 0.201 0.394 0.165
O7 O 0.259 0.252 0.910
O8 O 0.260 0.249 0.409
O9 O 0.317 0.106 0.162
O10 O 0.330 0.109 0.651
O11 O 0.413 0.000 0.904
```

***

Entry 3:
BaWO4 | GGA+U | optimized geometry

Computed properties:
As for the formation energy: -2.677 eV/atom. The value obtained for the total energy is -7.258 eV/atom.

```
data_BaWO4
_chemical_formula_sum 'Ba2 W2 O8'
_symmetry_space_group_name_H-M 'P 1 21/m 1'
_symmetry_Int_Tables_number 11
_cell_length_a 4.197
_cell_length_b 5.903
_cell_length_c 7.841
_cell_angle_alpha 90.00
_cell_angle_beta 104.75
_cell_angle_gamma 90.00
loop_
_symmetry_equiv_pos_as_xyz
'x,y,z'
'-x,-y,-z'
'-x,y+1/2,-z'
'x,-y+1/2,z'
loop_
_atom_site_label
_atom_site_type_symbol
_atom_site_fract_x
_atom_site_fract_y
_atom_site_fract_z
Ba1 Ba 0.178 0.250 0.323
W1 W 0.353 0.250 0.823
O1 O 0.081 0.750 0.163
O2 O 0.317 0.028 0.649
O3 O 0.500 0.000 0.000
```